No. 1
The following is a DFT calculation (PBE) of La2MgO4 after structural relaxation.

Values from the calculation:
Energy of formation = -3.57 eV per atom
Total DFT energy (no corrections) = -7.643 eV/atom

Cell: 6.8320 6.8320 5.6702 Å, 90.00 90.00 131.87°
Element x y z (fractional)
O 0.2350 0.2650 0.2500
O 0.1790 0.8210 0.0633
O 0.3210 0.6790 0.5633
O 0.8210 0.1790 0.9367
O 0.7350 0.7650 0.2500
O 0.6790 0.3210 0.4367
O 0.7650 0.7350 0.7500
O 0.2650 0.2350 0.7500
La 0.1377 0.8623 0.4870
La 0.3623 0.6377 0.9870
La 0.8623 0.1377 0.5130
La 0.6377 0.3623 0.0130
Mg 0.0000 0.0000 0.0000
Mg 0.5000 0.5000 0.5000

***

No. 2
The following is a DFT calculation (PBE) of Na3Mg3InS6O24 after structural relaxation.

Values from the calculation:
Energy of formation = -2.25 eV per atom
Total DFT energy (no corrections) = -5.995 eV/atom

Cell: 8.7672 8.7696 22.7652 Å, 90.00 90.03 120.07°
Element x y z (fractional)
O 0.8067 0.8290 0.9117
O 0.0228 0.1937 0.9116
O 0.8274 0.8071 0.5916
O 0.5273 0.6869 0.2563
O 0.5080 0.6466 0.5768
O 0.4719 0.3113 0.7445
O 0.1377 0.4967 0.5770
O 0.9855 0.1773 0.5917
O 0.1607 0.4697 0.2575
O 0.8390 0.3087 0.2431
O 0.8806 0.5206 0.1362
O 0.3539 0.4741 0.3602
O 0.8605 0.5071 0.4200
O 0.9795 0.7937 0.8008
O 0.2102 0.1892 0.8033
O 0.5263 0.8793 0.3601
O 0.8391 0.5279 0.7437
O 0.9853 0.8090 0.0913
O 0.6972 0.1440 0.0329
O 0.2114 0.0293 0.3026
O 0.1467 0.4576 0.9697
O 0.4470 0.3030 0.0329
O 0.8059 0.9786 0.4107
O 0.9683 0.1804 0.3028
O 0.8587 0.2990 0.5287
O 0.8242 0.0150 0.0920
O 0.4930 0.3550 0.4188
O 0.8750 0.3635 0.6341
O 0.3612 0.8870 0.8630
O 0.6818 0.5251 0.2438
O 0.1862 0.9742 0.1972
O 0.3181 0.8435 0.2568
O 0.1878 0.0106 0.5911
O 0.1904 0.1759 0.0918
O 0.6415 0.1168 0.1396
O 0.4730 0.1602 0.2443
O 0.1132 0.4745 0.8630
O 0.3110 0.8535 0.9697
O 0.5284 0.8409 0.7527
O 0.6411 0.5162 0.6355
O 0.4904 0.1408 0.9220
O 0.1709 0.9771 0.9115
O 0.5257 0.6387 0.8631
O 0.4826 0.1246 0.6350
O 0.8593 0.5576 0.0302
O 0.1722 0.1942 0.4105
O 0.0202 0.8076 0.6935
O 0.4751 0.3581 0.1396
O 0.6894 0.1608 0.7442
O 0.7063 0.5589 0.5301
O 0.5401 0.8537 0.4675
O 0.1394 0.6871 0.4726
O 0.3124 0.4715 0.7528
O 0.1416 0.6474 0.0778
O 0.3484 0.8568 0.5779
O 0.0312 0.2118 0.1980
O 0.4387 0.1387 0.5290
O 0.6453 0.1382 0.4186
O 0.7904 0.9784 0.6965
O 0.1594 0.6885 0.7520
O 0.8592 0.3491 0.9218
O 0.8110 0.0214 0.8033
O 0.6500 0.5096 0.9220
O 0.5052 0.8591 0.0790
O 0.1260 0.6459 0.3654
O 0.8140 0.7875 0.3038
O 0.7889 0.8181 0.1983
O 0.3539 0.4947 0.0790
O 0.1885 0.2092 0.6965
O 0.3128 0.4593 0.4675
O 0.5426 0.6892 0.9698
O 0.0222 0.8276 0.4117
Na 0.6356 0.9986 0.2490
Na 0.6796 0.3452 0.3356
Na 0.3640 0.3630 0.2487
Na 0.6658 0.3324 0.8302
Na 0.3456 0.6655 0.6688
Na 0.9999 0.9991 0.9983
Na 0.9989 0.0113 0.4993
Na 0.3203 0.6654 0.1593
Na 0.0291 0.6968 0.5868
S 0.6311 0.6707 0.9178
S 0.0413 0.6700 0.4177
S 0.7091 0.7069 0.2504
S 0.2937 0.2902 0.7499
S 0.6663 0.0331 0.0860
S 0.9999 0.2922 0.2503
S 0.3668 0.3337 0.0860
S 0.7099 0.0036 0.7498
S 0.6659 0.6301 0.5851
S 0.9629 0.3314 0.5844
S 0.9668 0.6331 0.0845
S 0.0397 0.3689 0.9177
S 0.9965 0.7059 0.7484
S 0.3687 0.0360 0.5848
S 0.3300 0.3718 0.4150
S 0.2908 0.9979 0.2500
S 0.3292 0.9603 0.9177
S 0.6281 0.9581 0.4150
Mg 0.6739 0.3399 0.1792
Mg 0.9998 0.9970 0.3528
Mg 0.0001 0.9970 0.1471
Mg 0.9994 0.0066 0.6532
Mg 0.6634 0.3300 0.6872
Mg 0.3399 0.6659 0.5163
Mg 0.3331 0.6668 0.0172
Mg 0.0001 0.0006 0.8500
Mg 0.3261 0.6658 0.3194
In 0.6671 0.3337 0.9841
In 0.6634 0.3300 0.4833
In 0.3336 0.6668 0.8154